# Cs3Fe2F9

Cs3Fe2F9 after structural relaxation (r²SCAN, the Materials Project database).

a b c (Å): 6.3181 6.3181 14.6308
angles (deg): 90.00 90.00 120.00
Sites, in units of the cell vectors:
Cs  0.3333  0.6667  0.0701
Cs  0.3333  0.6667  0.4299
Cs  0.3333  0.6667  0.7500
Cs  0.6667  0.3333  0.2500
Cs  0.6667  0.3333  0.5701
Cs  0.6667  0.3333  0.9299
Fe  0.0000  0.0000  0.1505
Fe  0.0000  0.0000  0.3495
Fe  0.0000  0.0000  0.6505
Fe  0.0000  0.0000  0.8495
F  0.1339  0.2677  0.2500
F  0.1339  0.8661  0.2500
F  0.1513  0.3026  0.5920
F  0.1513  0.3026  0.9080
F  0.1513  0.8487  0.5920
F  0.1513  0.8487  0.9080
F  0.2677  0.1339  0.7500
F  0.3026  0.1513  0.0920
F  0.3026  0.1513  0.4080
F  0.6974  0.8487  0.5920
F  0.6974  0.8487  0.9080
F  0.7323  0.8661  0.2500
F  0.8487  0.1513  0.0920
F  0.8487  0.1513  0.4080
F  0.8487  0.6974  0.0920
F  0.8487  0.6974  0.4080
F  0.8661  0.1339  0.7500
F  0.8661  0.7323  0.7500

Results
Magnetic moment, μB/f.u.: 10.000
E_tot, eV per formula unit: -172.1
Energy relative to the elements, eV per atom: -2.847
Density, g cm⁻³: 4.5


# Tb6Ge3Se14

Tb6Ge3Se14 after structural relaxation (r²SCAN, the Materials Project database).

a b c (Å): 10.2487 10.2487 6.2394
angles (deg): 90.00 90.00 120.00
Sites, in units of the cell vectors:
Tb  0.0287  0.5517  0.0000
Tb  0.3074  0.1154  0.5107
Tb  0.4483  0.4770  0.0000
Tb  0.5230  0.9713  0.0000
Tb  0.8080  0.6926  0.5107
Tb  0.8846  0.1920  0.5107
Ge  0.0000  0.0000  0.9316
Ge  0.3333  0.6667  0.4220
Ge  0.6667  0.3333  0.3005
Se  0.0000  0.0000  0.3081
Se  0.0933  0.8535  0.7684
Se  0.1465  0.2398  0.7684
Se  0.1870  0.4268  0.2608
Se  0.2397  0.8130  0.2608
Se  0.3333  0.6667  0.7995
Se  0.4107  0.1833  0.0719
Se  0.5114  0.4391  0.5668
Se  0.5609  0.0722  0.5668
Se  0.5732  0.7603  0.2608
Se  0.7602  0.9067  0.7684
Se  0.7726  0.5893  0.0719
Se  0.8167  0.2274  0.0719
Se  0.9278  0.4886  0.5668

Results
Magnetic moment, μB/f.u.: 0.000
E_tot, eV per formula unit: -464.0
Energy relative to the elements, eV per atom: -1.506
Density, g cm⁻³: 6.7


# GdSi2Os2

GdSi2Os2 after structural relaxation (r²SCAN, the Materials Project database).

a b c (Å): 4.1817 4.1817 9.6601
angles (deg): 90.00 90.00 90.00
Sites, in units of the cell vectors:
Gd  0.0000  0.0000  0.0000
Gd  0.5000  0.5000  0.5000
Si  0.0000  0.0000  0.3689
Si  0.0000  0.0000  0.6311
Si  0.5000  0.5000  0.1311
Si  0.5000  0.5000  0.8689
Os  0.0000  0.5000  0.2500
Os  0.0000  0.5000  0.7500
Os  0.5000  0.0000  0.2500
Os  0.5000  0.0000  0.7500

Results
Magnetic moment, μB/f.u.: 7.205
E_tot, eV per formula unit: -170.8
Energy relative to the elements, eV per atom: -0.784
Density, g cm⁻³: 11.7


# CeSI

CeSI after structural relaxation (r²SCAN, the Materials Project database).

a b c (Å): 7.0993 14.5303 7.3613
angles (deg): 90.00 90.00 90.00
Sites, in units of the cell vectors:
Ce  0.2421  0.0829  0.0318
Ce  0.2421  0.4171  0.5318
Ce  0.2579  0.5829  0.0318
Ce  0.2579  0.9171  0.5318
Ce  0.7421  0.0829  0.4682
Ce  0.7421  0.4171  0.9682
Ce  0.7579  0.5829  0.4682
Ce  0.7579  0.9171  0.9682
S  0.0003  0.0232  0.7420
S  0.0003  0.4768  0.2420
S  0.9997  0.5232  0.7580
S  0.9997  0.9768  0.2580
S  0.5003  0.0232  0.7580
S  0.5003  0.4768  0.2580
S  0.4997  0.5232  0.7420
S  0.4997  0.9768  0.2420
I  0.1745  0.7009  0.4017
I  0.1745  0.7991  0.9017
I  0.3255  0.2009  0.4017
I  0.3255  0.2991  0.9017
I  0.6745  0.7009  0.0983
I  0.6745  0.7991  0.5983
I  0.8255  0.2009  0.0983
I  0.8255  0.2991  0.5983

Results
Magnetic moment, μB/f.u.: 1.000
E_tot, eV per formula unit: -69.7
Energy relative to the elements, eV per atom: -2.096
Density, g cm⁻³: 5.2


# SrIr2

SrIr2 after structural relaxation (r²SCAN, the Materials Project database).

a b c (Å): 5.4525 5.4525 5.4525
angles (deg): 60.00 60.00 60.00
Sites, in units of the cell vectors:
Sr  0.1250  0.1250  0.1250
Sr  0.8750  0.8750  0.8750
Ir  0.0000  0.5000  0.5000
Ir  0.5000  0.0000  0.5000
Ir  0.5000  0.5000  0.0000
Ir  0.5000  0.5000  0.5000

Results
Magnetic moment, μB/f.u.: 0.001
E_tot, eV per formula unit: -120.9
Energy relative to the elements, eV per atom: -0.330
Density, g cm⁻³: 13.7


# V2Te2O9

V2Te2O9 after structural relaxation (r²SCAN, the Materials Project database).

a b c (Å): 14.4963 4.9357 14.4521
angles (deg): 80.69 19.63 79.68
Sites, in units of the cell vectors:
V  0.2895  0.7105  0.3911
V  0.6411  0.8589  0.5395
V  0.7105  0.2895  0.6089
V  0.8589  0.6411  0.9605
Te  0.1553  0.4314  0.9395
Te  0.3105  0.7762  0.0947
Te  0.4314  0.1553  0.4738
Te  0.7762  0.3105  0.8186
O  0.1172  0.4642  0.4930
O  0.1955  0.3946  0.6119
O  0.3244  0.7570  0.7858
O  0.3296  0.9481  0.2637
O  0.3752  0.3752  0.6248
O  0.3946  0.1955  0.7980
O  0.4520  0.6381  0.8554
O  0.4642  0.1172  0.9256
O  0.5317  0.8221  0.2527
O  0.6252  0.6252  0.8748
O  0.6381  0.4520  0.0545
O  0.7570  0.3244  0.1328
O  0.7915  0.9863  0.3019
O  0.8221  0.5317  0.3935
O  0.8565  0.9973  0.4279
O  0.9481  0.3296  0.4585
O  0.9863  0.7915  0.9204
O  0.9973  0.8565  0.7183

Results
Magnetic moment, μB/f.u.: 0.000
E_tot, eV per formula unit: -156.4
Energy relative to the elements, eV per atom: -1.820
Density, g cm⁻³: 4.9


The highest density belongs to which entry?
SrIr2


Among the records above, which one has the lowest E_tot?
Tb6Ge3Se14


E_tot of number 4 (CeSI)?
-69.7 eV per formula unit